(1)
! PBE+U Li3Mn2O5, relaxed; values from VASP
&SYSTEM
  ibrav = 0, nat = 20, ntyp = 3
/
ATOMIC_SPECIES
Li 6.94 Li.upf
Mn 54.94 Mn.upf
O 16.00 O.upf
CELL_PARAMETERS angstrom
2.9081 0.0440 0.6215
-0.0420 12.4538 -2.3652
0.0548 -0.0128 5.0828
ATOMIC_POSITIONS crystal
Li 0.0999 0.3001 0.8000
Li 0.5999 0.8000 0.8000
Li 0.6731 0.1000 0.6194
Li 0.5267 0.5001 0.9806
Li 0.8495 0.7138 0.2152
Li 0.3503 0.8863 0.3849
Mn 0.1876 0.6078 0.6001
Mn 0.7853 0.4005 0.4051
Mn 0.0126 0.9922 0.9998
Mn 0.4147 0.1995 0.1950
O 0.4109 0.0499 0.2627
O 0.7892 0.5501 0.3373
O 0.7333 0.2536 0.4878
O 0.4667 0.3464 0.1122
O 0.1200 0.4560 0.6873
O 0.0800 0.1440 0.9127
O 0.5962 0.6436 0.8522
O 0.6039 0.9564 0.7477
O 0.9542 0.8628 0.1076
O 0.2458 0.7372 0.4924
! VASP energy: -126.48 eV/cell
! M_tot: 0.00 μB per formula unit
! space-group type: P-1 (2)
! ΔE_f: -2122 meV per atom
! calculated volume: 9.18 Å³ per atom
! crystal system: triclinic
! excess energy over the best structure of this formula in the dataset: 2.76 kJ per mole of atoms

---

(2)
! PBE+U Sr2MgZrVO6, relaxed; values from VASP
&SYSTEM
  ibrav = 0, nat = 11, ntyp = 5
/
ATOMIC_SPECIES
Sr 87.62 Sr.upf
Mg 24.30 Mg.upf
Zr 91.22 Zr.upf
V 50.94 V.upf
O 16.00 O.upf
CELL_PARAMETERS angstrom
3.4431 -5.1051 1.0117
-5.0948 0.5078 2.8731
-2.8168 0.4062 -5.0716
ATOMIC_POSITIONS crystal
Sr 0.6361 0.8180 0.3180
Sr 0.3639 0.1820 0.6820
Mg 0.0000 0.5000 0.0000
Zr 0.0000 0.5000 0.5000
V 0.0000 0.0000 0.0000
O 0.0000 0.7465 0.2436
O 0.0000 0.2535 0.7564
O 0.4699 0.7350 0.7350
O 0.5301 0.2650 0.2650
O 0.0000 0.2538 0.2434
O 0.0000 0.7462 0.7566
! VASP energy: -77.29 eV/cell
! M_tot: 3.16 μB per formula unit
! space-group type: Immm (71)
! ΔE_f: -2801 meV per atom
! calculated volume: 14.52 Å³ per atom
! crystal system: orthorhombic
! excess energy over the best structure of this formula in the dataset: 14.48 kJ per mole of atoms

---

(3)
! PBE+U SmMn2O5, relaxed; values from VASP
&SYSTEM
  ibrav = 0, nat = 32, ntyp = 3
/
ATOMIC_SPECIES
Sm 150.36 Sm.upf
Mn 54.94 Mn.upf
O 16.00 O.upf
CELL_PARAMETERS angstrom
5.8142 0.0000 0.0000
0.0000 7.5055 0.0000
0.0000 0.0000 8.6738
ATOMIC_POSITIONS crystal
Sm 0.0000 0.3604 0.6715
Sm 0.0000 0.6396 0.3285
Sm 0.0000 0.8604 0.8285
Sm 0.0000 0.1396 0.1715
Mn 0.5000 0.0897 0.8498
Mn 0.5000 0.9103 0.1502
Mn 0.5000 0.5897 0.6502
Mn 0.5000 0.4103 0.3498
Mn 0.2555 0.5000 0.0000
Mn 0.7445 0.0000 0.5000
Mn 0.7445 0.5000 0.0000
Mn 0.2555 0.0000 0.5000
O 0.2445 0.8978 0.2932
O 0.2445 0.1022 0.7068
O 0.7555 0.3978 0.2068
O 0.7555 0.6022 0.7932
O 0.7555 0.1022 0.7068
O 0.7555 0.8978 0.2932
O 0.2445 0.6022 0.7932
O 0.2445 0.3978 0.2068
O 0.5000 0.3484 0.9336
O 0.5000 0.6516 0.0664
O 0.5000 0.8484 0.5664
O 0.5000 0.1516 0.4336
O 0.2742 0.0000 0.0000
O 0.7258 0.5000 0.5000
O 0.7258 0.0000 0.0000
O 0.2742 0.5000 0.5000
O 0.0000 0.1603 0.4456
O 0.0000 0.8397 0.5544
O 0.0000 0.6603 0.0544
O 0.0000 0.3397 0.9456
! VASP energy: -248.16 eV/cell
! space-group type: Pbam (55)
! ΔE_f: -2629 meV per atom
! calculated volume: 11.83 Å³ per atom
! crystal system: orthorhombic

---

(4)
! PBE+U Sr2GdVO6, relaxed; values from VASP
&SYSTEM
  ibrav = 0, nat = 10, ntyp = 4
/
ATOMIC_SPECIES
Sr 87.62 Sr.upf
Gd 157.25 Gd.upf
V 50.94 V.upf
O 16.00 O.upf
CELL_PARAMETERS angstrom
5.6666 1.1047 0.9072
1.8891 5.5222 0.2993
1.7637 2.2118 5.1138
ATOMIC_POSITIONS crystal
Sr 0.2500 0.2500 0.2500
Sr 0.7500 0.7500 0.7500
Gd 0.0000 0.0000 0.0000
V 0.5000 0.5000 0.5000
O 0.7299 0.2701 0.2701
O 0.2701 0.7299 0.7299
O 0.7299 0.2701 0.7299
O 0.2701 0.7299 0.2701
O 0.7299 0.7299 0.2701
O 0.2701 0.2701 0.7299
! VASP energy: -81.52 eV/cell
! M_tot: 7.00 μB per formula unit
! space-group type: Fm-3m (225)
! ΔE_f: -3111 meV per atom
! calculated volume: 14.11 Å³ per atom
! crystal system: cubic

---

(5)
! PBE+U LiNiAsO4, relaxed; values from VASP
&SYSTEM
  ibrav = 0, nat = 28, ntyp = 4
/
ATOMIC_SPECIES
Li 6.94 Li.upf
Ni 58.69 Ni.upf
As 74.92 As.upf
O 16.00 O.upf
CELL_PARAMETERS angstrom
4.0683 -4.0683 0.0000
-4.2139 -4.2139 0.0001
0.0000 0.0001 -8.2094
ATOMIC_POSITIONS crystal
Li 0.7500 0.7500 0.2500
Li 0.2500 0.2500 0.7500
Li 0.2500 0.7500 0.2500
Li 0.7500 0.2500 0.7500
Ni 0.0000 0.5000 0.5000
Ni 0.5001 0.5000 0.0000
Ni 0.5000 0.0000 0.0000
Ni 0.0000 0.0001 0.5000
As 0.0000 0.2500 0.1312
As 0.5000 0.7500 0.6312
As 0.5000 0.2500 0.3688
As 0.0000 0.7500 0.8688
O 0.7548 0.2499 0.0040
O 0.2548 0.7501 0.5040
O 0.2452 0.2499 0.0040
O 0.7452 0.7501 0.5040
O 0.7452 0.2499 0.4960
O 0.2452 0.7501 0.9960
O 0.2548 0.2499 0.4960
O 0.7548 0.7501 0.9960
O 0.0000 0.0092 0.2471
O 0.5000 0.5092 0.7471
O 0.0000 0.4908 0.2471
O 0.5000 0.9907 0.7471
O 0.5000 0.4908 0.2529
O 0.0000 0.9907 0.7529
O 0.5000 0.0092 0.2529
O 0.0000 0.5092 0.7529
! VASP energy: -157.73 eV/cell
! M_tot: 0.00 μB per formula unit
! ΔE_f: -1797 meV per atom
! calculated volume: 10.05 Å³ per atom
! excess energy over the best structure of this formula in the dataset: 1.77 kJ per mole of atoms

---

(6)
! PBE+U Mn2PO5, relaxed; values from VASP
&SYSTEM
  ibrav = 0, nat = 32, ntyp = 3
/
ATOMIC_SPECIES
Mn 54.94 Mn.upf
P 30.97 P.upf
O 16.00 O.upf
CELL_PARAMETERS angstrom
-1.7577 5.7856 2.5322
-3.8986 1.5273 -6.1958
-6.3436 -3.3165 3.1741
ATOMIC_POSITIONS crystal
Mn 0.0000 0.0000 0.0000
Mn 0.5000 0.0000 0.0000
Mn 0.2500 0.1485 0.7091
Mn 0.7500 0.3515 0.2091
Mn 0.0000 0.5000 0.5000
Mn 0.5000 0.5000 0.5000
Mn 0.2500 0.6485 0.7909
Mn 0.7500 0.8515 0.2909
P 0.7500 0.1215 0.6412
P 0.2500 0.3785 0.1412
P 0.7500 0.6215 0.8588
P 0.2500 0.8785 0.3588
O 0.2500 0.0451 0.4676
O 0.7500 0.0937 0.1337
O 0.9403 0.1290 0.7625
O 0.5597 0.1290 0.7625
O 0.2500 0.2043 0.0296
O 0.7500 0.2957 0.5296
O 0.0597 0.3710 0.2625
O 0.4403 0.3710 0.2625
O 0.2500 0.4063 0.6337
O 0.7500 0.4549 0.9676
O 0.2500 0.5451 0.0324
O 0.7500 0.5937 0.3663
O 0.5597 0.6290 0.7375
O 0.9403 0.6290 0.7375
O 0.2500 0.7043 0.4704
O 0.7500 0.7957 0.9704
O 0.0597 0.8710 0.2375
O 0.4403 0.8710 0.2375
O 0.2500 0.9063 0.8663
O 0.7500 0.9549 0.5324
! VASP energy: -243.49 eV/cell
! space-group type: Pnma (62)
! ΔE_f: -2396 meV per atom
! calculated volume: 12.00 Å³ per atom
! crystal system: orthorhombic
! excess energy over the best structure of this formula in the dataset: 1.73 kJ per mole of atoms

---

(7)
! PBE+U V4O3F9, relaxed; values from VASP
&SYSTEM
  ibrav = 0, nat = 32, ntyp = 3
/
ATOMIC_SPECIES
V 50.94 V.upf
O 16.00 O.upf
F 19.00 F.upf
CELL_PARAMETERS angstrom
-3.3308 -0.5013 4.0561
3.3752 4.2244 -0.1162
-10.6944 8.5353 -10.9635
ATOMIC_POSITIONS crystal
V 0.7549 0.3794 0.1250
V 0.7375 0.8924 0.6300
V 0.5237 0.7318 0.2494
V 0.4959 0.2416 0.7501
V 0.2164 0.0953 0.3728
V 0.2516 0.6548 0.8713
V 0.9912 0.0271 0.0013
V 0.9690 0.4690 0.5045
O 0.7990 0.1935 0.5586
O 0.8532 0.2060 0.0415
O 0.8588 0.9149 0.3331
O 0.6520 0.5483 0.2077
O 0.6659 0.0469 0.7009
O 0.2993 0.9239 0.8149
F 0.3380 0.1629 0.0825
F 0.7924 0.6886 0.0604
F 0.7162 0.0684 0.1889
F 0.3559 0.9596 0.2932
F 0.3249 0.6626 0.5835
F 0.3212 0.4509 0.7911
F 0.1698 0.5964 0.1681
F 0.1651 0.0851 0.6641
F 0.1713 0.2898 0.4592
F 0.2904 0.4375 0.3153
F 0.7160 0.5719 0.6879
F 0.8229 0.7084 0.5426
F 0.8283 0.4155 0.8364
F 0.1678 0.7981 0.9605
F 0.6555 0.3254 0.4150
F 0.2160 0.3232 0.9344
F 0.2054 0.7995 0.4411
F 0.6743 0.8315 0.9146
! VASP energy: -205.34 eV/cell
! space-group type: P1 (1)
! ΔE_f: -2955 meV per atom
! calculated volume: 13.50 Å³ per atom
! crystal system: triclinic
! excess energy over the best structure of this formula in the dataset: 0.00 kJ per mole of atoms

---

(8)
! PBE+U Li3Fe2CoO6, relaxed; values from VASP
&SYSTEM
  ibrav = 0, nat = 24, ntyp = 4
/
ATOMIC_SPECIES
Li 6.94 Li.upf
Fe 55.84 Fe.upf
Co 58.93 Co.upf
O 16.00 O.upf
CELL_PARAMETERS angstrom
4.4304 2.5420 -0.0195
-0.0205 5.1196 0.0060
1.4339 -0.8477 9.7463
ATOMIC_POSITIONS crystal
Li 0.6735 0.6597 0.9981
Li 0.1599 0.1736 0.5019
Li 0.3230 0.3313 0.0007
Li 0.8304 0.8240 0.4990
Li 0.5103 0.5020 0.4993
Li 0.0029 0.0093 0.0010
Fe 0.2472 0.7482 0.2500
Fe 0.7516 0.2521 0.7500
Fe 0.5862 0.0852 0.2500
Fe 0.0817 0.5812 0.7500
Co 0.4166 0.9166 0.7500
Co 0.9167 0.4167 0.2500
O 0.2672 0.0660 0.1412
O 0.7997 0.5339 0.6319
O 0.5661 0.7674 0.3588
O 0.0336 0.2994 0.8681
O 0.6182 0.3822 0.1344
O 0.1368 0.8755 0.6391
O 0.9510 0.7178 0.1332
O 0.4582 0.1976 0.6384
O 0.2151 0.4511 0.3656
O 0.6965 0.9578 0.8609
O 0.8823 0.1156 0.3668
O 0.3751 0.6357 0.8616
! VASP energy: -142.86 eV/cell
! M_tot: 10.00 μB per formula unit
! space-group type: P-1 (2)
! ΔE_f: -1853 meV per atom
! calculated volume: 9.24 Å³ per atom
! crystal system: triclinic
! excess energy over the best structure of this formula in the dataset: 1.55 kJ per mole of atoms

---

(9)
! PBE+U Ba10MgMn6O24F2, relaxed; values from VASP
&SYSTEM
  ibrav = 0, nat = 43, ntyp = 5
/
ATOMIC_SPECIES
Ba 137.33 Ba.upf
Mg 24.30 Mg.upf
Mn 54.94 Mn.upf
O 16.00 O.upf
F 19.00 F.upf
CELL_PARAMETERS angstrom
0.0000 0.0000 -7.7915
-5.4354 -9.8101 0.0000
-5.0611 9.6087 0.0000
ATOMIC_POSITIONS crystal
Ba 0.4983 0.6559 0.3483
Ba 0.0016 0.3259 0.6455
Ba 0.4984 0.3259 0.6455
Ba 0.0017 0.6559 0.3483
Ba 0.7500 0.2538 0.9862
Ba 0.7500 0.9916 0.2775
Ba 0.7500 0.7598 0.7637
Ba 0.2500 0.7118 0.0550
Ba 0.2500 0.0045 0.7027
Ba 0.2500 0.2303 0.2409
Mg 0.2500 0.8745 0.8960
Mn 0.7500 0.9640 0.5995
Mn 0.7500 0.3946 0.3626
Mn 0.7500 0.6212 0.0323
Mn 0.2500 0.0224 0.3924
Mn 0.2500 0.6100 0.6501
Mn 0.2500 0.3706 0.9533
O 0.7500 0.1388 0.6502
O 0.7500 0.3112 0.4564
O 0.7500 0.5133 0.8436
O 0.2500 0.8512 0.3774
O 0.2500 0.6613 0.5200
O 0.2500 0.5155 0.1340
O 0.7500 0.8527 0.4105
O 0.7500 0.5799 0.4800
O 0.7500 0.5296 0.1188
O 0.2500 0.1436 0.5889
O 0.2500 0.4172 0.5366
O 0.2500 0.4489 0.8522
O 0.5777 0.9145 0.6603
O 0.5748 0.3529 0.2499
O 0.5790 0.7365 0.1003
O 0.0763 0.0786 0.3263
O 0.0861 0.7083 0.7928
O 0.0719 0.2660 0.9010
O 0.4237 0.0786 0.3263
O 0.4139 0.7083 0.7928
O 0.4281 0.2660 0.9010
O 0.9223 0.9145 0.6603
O 0.9252 0.3529 0.2499
O 0.9210 0.7365 0.1003
F 0.4265 0.0157 0.9789
F 0.0735 0.0157 0.9789
! VASP energy: -278.51 eV/cell
! M_tot: 14.00 μB per formula unit
! space-group type: Pm (6)
! ΔE_f: -2502 meV per atom
! calculated volume: 18.46 Å³ per atom
! crystal system: monoclinic
! excess energy over the best structure of this formula in the dataset: 3.66 kJ per mole of atoms

---

(10)
! PBE+U Li9Mn2Co5O16, relaxed; values from VASP
&SYSTEM
  ibrav = 0, nat = 32, ntyp = 4
/
ATOMIC_SPECIES
Li 6.94 Li.upf
Mn 54.94 Mn.upf
Co 58.93 Co.upf
O 16.00 O.upf
CELL_PARAMETERS angstrom
-0.7110 -1.5126 -2.4412
9.0633 2.4948 -3.6881
1.0282 -8.6295 5.3076
ATOMIC_POSITIONS crystal
Li 0.9932 0.2512 0.2480
Li 0.5156 0.4954 0.7503
Li 0.0120 0.7410 0.2435
Li 0.5055 0.5014 0.2420
Li 0.0009 0.7503 0.7501
Li 0.4832 0.0052 0.2581
Li 0.4962 0.0005 0.7474
Li 0.9948 0.2488 0.7536
Li 0.9876 0.5046 0.0099
Mn 0.0047 0.0017 0.9970
Mn 0.5078 0.7422 0.0009
Co 0.5045 0.2525 0.4973
Co 0.4985 0.7487 0.5026
Co 0.0054 0.4994 0.5035
Co 0.9927 0.0008 0.4967
Co 0.4891 0.2613 0.9988
O 0.4706 0.1297 0.1106
O 0.0146 0.3752 0.6164
O 0.4969 0.6368 0.1193
O 0.9636 0.3639 0.1151
O 0.4686 0.6183 0.6164
O 0.0273 0.8659 0.1059
O 0.9885 0.8690 0.6145
O 0.4810 0.1227 0.6113
O 0.5415 0.3779 0.3877
O 0.9865 0.6392 0.8915
O 0.5062 0.8816 0.3865
O 0.0085 0.6250 0.3905
O 0.5395 0.8731 0.8847
O 0.9881 0.1301 0.3802
O 0.0240 0.1275 0.8844
O 0.5027 0.3589 0.8851
! VASP energy: -185.47 eV/cell
! M_tot: 10.00 μB per formula unit
! space-group type: P1 (1)
! ΔE_f: -1806 meV per atom
! calculated volume: 9.03 Å³ per atom
! crystal system: triclinic
! excess energy over the best structure of this formula in the dataset: 5.65 kJ per mole of atoms

---

(11)
! PBE+U Zr6Co2O, relaxed; values from VASP
&SYSTEM
  ibrav = 0, nat = 9, ntyp = 3
/
ATOMIC_SPECIES
Zr 91.22 Zr.upf
Co 58.93 Co.upf
O 16.00 O.upf
CELL_PARAMETERS angstrom
-0.1553 -4.1851 4.1072
1.6694 -5.3552 1.7155
7.6284 3.5852 4.0658
ATOMIC_POSITIONS crystal
Zr 0.0863 0.0863 0.7333
Zr 0.9164 0.9164 0.2537
Zr 0.6324 0.6324 0.0657
Zr 0.3574 0.3574 0.9434
Zr 0.6335 0.6335 0.4420
Zr 0.3651 0.3651 0.5509
Co 0.7817 0.7817 0.7422
Co 0.2296 0.2296 0.2530
O 0.5327 0.5327 0.8768
! VASP energy: -70.75 eV/cell
! M_tot: 1.56 μB per formula unit
! space-group type: Cm (8)
! ΔE_f: -474 meV per atom
! calculated volume: 18.93 Å³ per atom
! crystal system: monoclinic

---

(12)
! PBE+U CaMg6NiO8, relaxed; values from VASP
&SYSTEM
  ibrav = 0, nat = 16, ntyp = 4
/
ATOMIC_SPECIES
Ca 40.08 Ca.upf
Mg 24.30 Mg.upf
Ni 58.69 Ni.upf
O 16.00 O.upf
CELL_PARAMETERS angstrom
8.6332 0.0000 0.0000
0.0000 4.3677 0.0000
0.0000 0.0000 4.3677
ATOMIC_POSITIONS crystal
Ca 0.0000 0.0000 0.0000
Mg 0.0000 0.5000 0.5000
Mg 0.5000 0.5000 0.5000
Mg 0.2578 0.0000 0.5000
Mg 0.7422 0.0000 0.5000
Mg 0.2578 0.5000 0.0000
Mg 0.7422 0.5000 0.0000
Ni 0.5000 0.0000 0.0000
O 0.2643 0.0000 0.0000
O 0.7357 0.0000 0.0000
O 0.2513 0.5000 0.5000
O 0.7487 0.5000 0.5000
O 0.0000 0.0000 0.5000
O 0.5000 0.0000 0.5000
O 0.0000 0.5000 0.0000
O 0.5000 0.5000 0.0000
! VASP energy: -93.33 eV/cell
! M_tot: 1.98 μB per formula unit
! space-group type: P4/mmm (123)
! ΔE_f: -2775 meV per atom
! calculated volume: 10.29 Å³ per atom
! crystal system: tetragonal

---

(13)
! PBE+U TiWO4, relaxed; values from VASP
&SYSTEM
  ibrav = 0, nat = 18, ntyp = 3
/
ATOMIC_SPECIES
Ti 47.87 Ti.upf
W 183.84 W.upf
O 16.00 O.upf
CELL_PARAMETERS angstrom
-2.2173 2.0967 0.6670
-2.8125 -3.4605 1.5285
5.3030 1.4488 13.0737
ATOMIC_POSITIONS crystal
Ti 0.0000 0.9977 0.3411
Ti 0.0000 0.0023 0.6589
Ti 0.5000 0.5000 0.5000
W 0.0000 0.0000 0.0000
W 0.5000 0.5002 0.1746
W 0.5000 0.4998 0.8254
O 0.5000 0.8122 0.4033
O 0.5000 0.7922 0.0685
O 0.5000 0.8075 0.7239
O 0.0000 0.6869 0.5636
O 0.0000 0.7049 0.8951
O 0.0000 0.7108 0.2420
O 0.0000 0.3131 0.4364
O 0.0000 0.2951 0.1049
O 0.0000 0.2892 0.7580
O 0.5000 0.1878 0.5967
O 0.5000 0.1925 0.2761
O 0.5000 0.2078 0.9315
! VASP energy: -149.37 eV/cell
! M_tot: 2.00 μB per formula unit
! space-group type: P2/m (10)
! ΔE_f: -2722 meV per atom
! calculated volume: 11.60 Å³ per atom
! crystal system: monoclinic